*i*
Material: DyMn2O4
Method: DFT, PBE with a Hubbard U
State: relaxed

a b c (Å): 6.4848 6.4848 6.2817
angles (deg): 118.59 118.59 57.39
Closest atoms and distances in Å follow each position.
Fractional positions:
Dy: 0.1255 0.1255 0.3880  4 O 2.16-2.17
Dy: 0.8745 0.8745 0.6120  4 O 2.16-2.17
Mn: 0.0000 0.5000 0.0000  6 O 2.09-2.31
Mn: 0.5000 0.0000 0.0000  6 O 2.09-2.31
Mn: 0.5000 0.5000 0.0000  6 O 2.21-2.23
Mn: 0.5000 0.5000 0.5000  4 O 1.98
O: 0.2489 0.2489 0.2204  2 Mn 2.09, 1 Dy 2.17
O: 0.2669 0.2669 0.7962  3 Mn 2.09-2.23, 1 Dy 2.16
O: 0.2700 0.7128 0.2654  2 Mn 1.98-2.21, 1 Dy 2.16
O: 0.2872 0.7300 0.7346  2 Mn 1.98-2.21, 1 Dy 2.16
O: 0.7128 0.2700 0.2654  2 Mn 1.98-2.21, 1 Dy 2.16
O: 0.7300 0.2872 0.7346  2 Mn 1.98-2.21, 1 Dy 2.16
O: 0.7331 0.7331 0.2038  3 Mn 2.09-2.23, 1 Dy 2.16
O: 0.7511 0.7511 0.7796  2 Mn 2.09, 1 Dy 2.17

---

*ii*
Material: DyMn2O4
Method: DFT, PBE with a Hubbard U
State: relaxed

a b c (Å): 8.6269 8.6269 8.6269
angles (deg): 24.10 24.10 24.10
Closest atoms and distances in Å follow each position.
Fractional positions:
Dy: 0.0000 0.0000 0.0000  6 O 2.31
Mn: 0.2137 0.2137 0.2137  5 O 1.99-2.10
Mn: 0.7863 0.7863 0.7863  5 O 1.99-2.10
O: 0.1302 0.1302 0.1302  4 Mn 2.10
O: 0.2929 0.2929 0.2929  1 Mn 1.99
O: 0.7071 0.7071 0.7071  1 Mn 1.99
O: 0.8698 0.8698 0.8698  4 Mn 2.10

---

*iii*
Material: DyMn2O4
Method: DFT, PBE with a Hubbard U
State: relaxed

a b c (Å): 6.3969 6.3969 6.3969
angles (deg): 60.00 60.00 60.00
Closest atoms and distances in Å follow each position.
Fractional positions:
Dy: 0.1250 0.1250 0.1250  4 O 2.16
Dy: 0.8750 0.8750 0.8750  4 O 2.16
Mn: 0.0000 0.5000 0.5000  6 O 2.15
Mn: 0.5000 0.0000 0.5000  6 O 2.15
Mn: 0.5000 0.5000 0.0000  6 O 2.15
Mn: 0.5000 0.5000 0.5000  6 O 2.15
O: 0.2629 0.2629 0.2629  3 Mn 2.15, 1 Dy 2.16
O: 0.2629 0.2629 0.7112  3 Mn 2.15, 1 Dy 2.16
O: 0.2629 0.7112 0.2629  3 Mn 2.15, 1 Dy 2.16
O: 0.2888 0.7371 0.7371  3 Mn 2.15, 1 Dy 2.16
O: 0.7112 0.2629 0.2629  3 Mn 2.15, 1 Dy 2.16
O: 0.7371 0.2888 0.7371  3 Mn 2.15, 1 Dy 2.16
O: 0.7371 0.7371 0.2888  3 Mn 2.15, 1 Dy 2.16
O: 0.7371 0.7371 0.7371  3 Mn 2.15, 1 Dy 2.16

---

Energetically preferred structure: *ii* | next structure: +0.089 eV/atom

---

*i*
Material: Dy2Mo3O12
Method: DFT, PBE with a Hubbard U
State: relaxed

a b c (Å): 6.9208 6.9208 11.4245
angles (deg): 100.64 100.64 112.46
Closest atoms and distances in Å follow each position.
Fractional positions:
Dy: 0.0441 0.2883 0.0912  8 O 2.33-2.45
Dy: 0.2883 0.0441 0.5912  8 O 2.33-2.45
Dy: 0.7117 0.9559 0.4088  8 O 2.33-2.45
Dy: 0.9559 0.7117 0.9088  8 O 2.33-2.45
Mo: 0.1313 0.8687 0.2500  4 O 1.77-1.84
Mo: 0.2456 0.4618 0.4491  4 O 1.76-1.91
Mo: 0.4618 0.2456 0.9491  4 O 1.76-1.91
Mo: 0.5382 0.7544 0.0509  4 O 1.76-1.91
Mo: 0.7544 0.5382 0.5509  4 O 1.76-1.91
Mo: 0.8687 0.1313 0.7500  4 O 1.77-1.84
O: 0.0760 0.6582 0.1077  1 Mo 1.84
O: 0.0836 0.1835 0.4621  1 Mo 1.87
O: 0.0947 0.4499 0.2990  1 Mo 1.81
O: 0.1239 0.2065 0.7174  1 Mo 1.77
O: 0.1835 0.0836 0.9621  1 Mo 1.87
O: 0.2065 0.1239 0.2174  1 Mo 1.77
O: 0.2321 0.6683 0.5588  1 Mo 1.76
O: 0.3317 0.7679 0.9412  1 Mo 1.76
O: 0.3418 0.9240 0.3923  1 Mo 1.84
O: 0.3978 0.4751 0.0767  1 Mo 1.91
O: 0.4499 0.0947 0.7990  1 Mo 1.81
O: 0.4751 0.3978 0.5767  1 Mo 1.91
O: 0.5249 0.6022 0.4233  1 Mo 1.91
O: 0.5501 0.9053 0.2010  1 Mo 1.81
O: 0.6022 0.5249 0.9233  1 Mo 1.91
O: 0.6582 0.0760 0.6077  1 Mo 1.84
O: 0.6683 0.2321 0.0588  1 Mo 1.76
O: 0.7679 0.3317 0.4412  1 Mo 1.76
O: 0.7935 0.8761 0.7826  1 Mo 1.77
O: 0.8165 0.9164 0.0379  1 Mo 1.87
O: 0.8761 0.7935 0.2826  1 Mo 1.77
O: 0.9053 0.5501 0.7010  1 Mo 1.81
O: 0.9164 0.8165 0.5379  1 Mo 1.87
O: 0.9240 0.3418 0.8923  1 Mo 1.84

---

*ii*
Material: Dy2Mo3O12
Method: DFT, PBE with a Hubbard U
State: relaxed

a b c (Å): 7.4538 7.4538 10.7295
angles (deg): 90.00 90.00 90.00
Closest atoms and distances in Å follow each position.
Fractional positions:
Dy: 0.1879 0.3121 0.2620  7 O 2.26-2.44
Dy: 0.3121 0.8121 0.7380  7 O 2.26-2.44
Dy: 0.6879 0.1879 0.7380  7 O 2.26-2.44
Dy: 0.8121 0.6879 0.2620  7 O 2.26-2.44
Mo: 0.0000 0.0000 0.0000  4 O 1.79
Mo: 0.2072 0.2928 0.6429  4 O 1.78-1.83
Mo: 0.2928 0.7928 0.3571  4 O 1.78-1.83
Mo: 0.5000 0.5000 0.0000  4 O 1.79
Mo: 0.7072 0.2072 0.3571  4 O 1.78-1.83
Mo: 0.7928 0.7072 0.6429  4 O 1.78-1.83
O: 0.0060 0.7755 0.7014  1 Mo 1.78
O: 0.0430 0.1893 0.0983  1 Mo 1.79
O: 0.1256 0.6256 0.3097  1 Mo 1.83
O: 0.1893 0.9570 0.9017  1 Mo 1.79
O: 0.1952 0.3048 0.4774  1 Mo 1.78
O: 0.2245 0.0060 0.2986  1 Mo 1.78
O: 0.2755 0.5060 0.7014  1 Mo 1.78
O: 0.3048 0.8048 0.5226  1 Mo 1.78
O: 0.3107 0.4570 0.0983  1 Mo 1.79
O: 0.3744 0.1256 0.6903  1 Mo 1.83
O: 0.4570 0.6893 0.9017  1 Mo 1.79
O: 0.4940 0.2755 0.2986  1 Mo 1.78
O: 0.5060 0.7245 0.2986  1 Mo 1.78
O: 0.5430 0.3107 0.9017  1 Mo 1.79
O: 0.6256 0.8744 0.6903  1 Mo 1.83
O: 0.6893 0.5430 0.0983  1 Mo 1.79
O: 0.6952 0.1952 0.5226  1 Mo 1.78
O: 0.7245 0.4940 0.7014  1 Mo 1.78
O: 0.7755 0.9940 0.2986  1 Mo 1.78
O: 0.8048 0.6952 0.4774  1 Mo 1.78
O: 0.8107 0.0430 0.9017  1 Mo 1.79
O: 0.8744 0.3744 0.3097  1 Mo 1.83
O: 0.9570 0.8107 0.0983  1 Mo 1.79
O: 0.9940 0.2245 0.7014  1 Mo 1.78

---

Energetically preferred structure: *ii* | next structure: +0.021 eV/atom

---

*i*
Material: Dy2V2O7
Method: DFT, PBE with a Hubbard U
State: relaxed

a b c (Å): 5.8358 5.8358 5.2411
angles (deg): 96.26 96.26 109.43
Closest atoms and distances in Å follow each position.
Fractional positions:
Dy: 0.1879 0.8121 0.0000  6 O 2.23-2.31
Dy: 0.8121 0.1879 0.0000  6 O 2.23-2.31
V: 0.2573 0.2573 0.5995  4 O 1.81-1.87
V: 0.7427 0.7427 0.4005  4 O 1.81-1.87
O: 0.0818 0.0818 0.2780  1 V 1.87
O: 0.1090 0.4318 0.7938  1 V 1.84
O: 0.4318 0.1090 0.7938  1 V 1.84
O: 0.5000 0.5000 0.5000  2 V 1.81
O: 0.5682 0.8910 0.2062  1 V 1.84
O: 0.8910 0.5682 0.2062  1 V 1.84
O: 0.9182 0.9182 0.7220  1 V 1.87

---

*ii*
Material: Dy2V2O7
Method: DFT, PBE with a Hubbard U
State: relaxed

a b c (Å): 7.1532 7.1532 7.1532
angles (deg): 60.00 60.00 60.00
Closest atoms and distances in Å follow each position.
Fractional positions:
Dy: 0.0000 0.0000 0.0000  2 O 2.19
Dy: 0.0000 0.0000 0.5000  2 O 2.19
Dy: 0.0000 0.5000 0.0000  2 O 2.19
Dy: 0.5000 0.0000 0.0000  2 O 2.19
V: 0.0000 0.5000 0.5000  6 O 1.97
V: 0.5000 0.0000 0.5000  6 O 1.97
V: 0.5000 0.5000 0.0000  6 O 1.97
V: 0.5000 0.5000 0.5000  6 O 1.97
O: 0.1250 0.1250 0.1250  4 Dy 2.19
O: 0.1684 0.1684 0.5816  2 V 1.97
O: 0.1684 0.5816 0.1684  2 V 1.97
O: 0.1684 0.5816 0.5816  2 V 1.97
O: 0.4184 0.4184 0.8316  2 V 1.97
O: 0.4184 0.8316 0.4184  2 V 1.97
O: 0.4184 0.8316 0.8316  2 V 1.97
O: 0.5816 0.1684 0.1684  2 V 1.97
O: 0.5816 0.1684 0.5816  2 V 1.97
O: 0.5816 0.5816 0.1684  2 V 1.97
O: 0.8316 0.4184 0.4184  2 V 1.97
O: 0.8316 0.4184 0.8316  2 V 1.97
O: 0.8316 0.8316 0.4184  2 V 1.97
O: 0.8750 0.8750 0.8750  4 Dy 2.19

---

Energetically preferred structure: *ii* | next structure: +0.073 eV/atom